# BeGa2O4 (PBE-GGA, relaxed)
data_BeGa2O4
_cell_length_a 7.784
_cell_length_b 3.034
_cell_length_c 7.857
_cell_angle_alpha 90.00
_cell_angle_beta 119.16
_cell_angle_gamma 90.00
_space_group_name_H-M_alt 'P 1 21/m 1'
_space_group_IT_number 11
_space_group_name_Hall '-P 2yb'
loop_
_atom_site_label
_atom_site_type_symbol
_atom_site_fract_x
_atom_site_fract_y
_atom_site_fract_z
Be1 Be 0.175 0.250 0.269
Ga1 Ga 0.209 0.250 0.904
Ga2 Ga 0.410 0.750 0.660
O1 O 0.058 0.750 0.216
O2 O 0.301 0.750 0.830
O3 O 0.322 0.250 0.173
O4 O 0.324 0.250 0.510
# relative energy among the computed polymorphs = 3.1 kJ/mol of atoms
# calculated volume = 162 Å³ per cell
# ΔE_f = -239.0 kJ/mol of atoms
# MP2020-corrected energy = -6.704 eV per atom
# total magnetization = 0.0000 μB/atom

# HfSiSe (PBE-GGA, relaxed)
data_HfSiSe
_cell_length_a 3.588
_cell_length_b 3.588
_cell_length_c 8.596
_cell_angle_alpha 90.00
_cell_angle_beta 90.00
_cell_angle_gamma 90.00
_space_group_name_H-M_alt 'P 4/n m m'
_space_group_IT_number 129
loop_
_space_group_symop_operation_xyz
'x,y,z'
'-x,-y,-z'
'-y+1/2,x,z'
'y+1/2,-x,-z'
'-x+1/2,-y+1/2,z'
'x+1/2,y+1/2,-z'
'y,-x+1/2,z'
'-y,x+1/2,-z'
'x+1/2,-y,-z'
'-x+1/2,y,z'
'-y,-x,-z'
'y,x,z'
'-x,y+1/2,-z'
'x,-y+1/2,z'
'y+1/2,x+1/2,-z'
'-y+1/2,-x+1/2,z'
loop_
_atom_site_label
_atom_site_type_symbol
_atom_site_fract_x
_atom_site_fract_y
_atom_site_fract_z
Hf1 Hf 0.250 0.250 0.248
Si1 Si 0.250 0.750 0.000
Se1 Se 0.250 0.250 0.628
# calculated volume = 111 Å³ per cell
# ΔE_f = -111.6 kJ/mol of atoms
# MP2020-corrected energy = -7.450 eV per atom

# Dy3Si4 (PBE-GGA, relaxed)
data_Dy3Si4
_cell_length_a 72.699
_cell_length_b 4.148
_cell_length_c 3.878
_cell_angle_alpha 90.00
_cell_angle_beta 90.40
_cell_angle_gamma 90.00
_space_group_name_H-M_alt 'C 1 m 1'
_space_group_IT_number 8
_space_group_name_Hall 'C -2y'
loop_
_atom_site_label
_atom_site_type_symbol
_atom_site_fract_x
_atom_site_fract_y
_atom_site_fract_z
Dy1 Dy 0.000 0.000 0.000
Dy2 Dy 0.032 0.500 0.499
Dy3 Dy 0.077 0.500 0.000
Dy4 Dy 0.123 0.500 0.501
Dy5 Dy 0.168 0.500 0.001
Dy6 Dy 0.200 0.000 0.503
Dy7 Dy 0.243 0.000 0.017
Dy8 Dy 0.290 0.000 0.495
Dy9 Dy 0.334 0.000 0.000
Dy10 Dy 0.366 0.500 0.502
Dy11 Dy 0.410 0.500 0.016
Dy12 Dy 0.457 0.500 0.496
Si1 Si 0.040 0.000 0.000
Si2 Si 0.060 0.000 0.502
Si3 Si 0.092 0.000 0.499
Si4 Si 0.108 0.000 0.001
Si5 Si 0.140 0.000 0.999
Si6 Si 0.160 0.000 0.500
Si7 Si 0.209 0.500 0.004
Si8 Si 0.229 0.500 0.510
Si9 Si 0.261 0.500 0.554
Si10 Si 0.303 0.500 0.997
Si11 Si 0.324 0.500 0.500
Si12 Si 0.375 0.000 0.002
Si13 Si 0.396 0.000 0.510
Si14 Si 0.428 0.000 0.557
Si15 Si 0.470 0.000 0.997
Si16 Si 0.491 0.000 0.500
# calculated volume = 1169 Å³ per cell
# ΔE_f = -63.3 kJ/mol of atoms
# MP2020-corrected energy = -5.731 eV per atom
# total magnetization = 0.0000 μB/atom

# KTbPrSbO6 (PBE-GGA, relaxed)
data_KTbPrSbO6
_cell_length_a 8.380
_cell_length_b 8.380
_cell_length_c 8.380
_cell_angle_alpha 90.00
_cell_angle_beta 90.00
_cell_angle_gamma 90.00
_space_group_name_H-M_alt 'F -4 3 m'
_space_group_IT_number 216
_space_group_name_Hall 'F -4 2 3'
loop_
_atom_site_label
_atom_site_type_symbol
_atom_site_fract_x
_atom_site_fract_y
_atom_site_fract_z
K1 K 0.000 0.000 0.000
Tb1 Tb 0.250 0.250 0.750
Pr1 Pr 0.000 0.000 0.500
Sb1 Sb 0.250 0.250 0.250
O1 O 0.013 0.250 0.250
# calculated volume = 588 Å³ per cell
# ΔE_f = -271.9 kJ/mol of atoms
# MP2020-corrected energy = -7.253 eV per atom
# total magnetization = 0.0000 μB/atom

# K2SnN6 (PBE-GGA, relaxed)
data_K2SnN6
_cell_length_a 9.008
_cell_length_b 9.008
_cell_length_c 9.008
_cell_angle_alpha 90.00
_cell_angle_beta 90.00
_cell_angle_gamma 90.00
_space_group_name_H-M_alt 'F m -3 m'
_space_group_IT_number 225
_space_group_name_Hall '-F 4 2 3'
loop_
_atom_site_label
_atom_site_type_symbol
_atom_site_fract_x
_atom_site_fract_y
_atom_site_fract_z
K1 K 0.250 0.250 0.250
Sn1 Sn 0.000 0.000 0.000
N1 N 0.000 0.000 0.241
# calculated volume = 731 Å³ per cell
# ΔE_f = 185.4 kJ/mol of atoms
# MP2020-corrected energy = -4.328 eV per atom
# total magnetization = 1.3335 μB/atom

# Cs (PBE-GGA, relaxed)
data_Cs
_cell_length_a 7.719
_cell_length_b 7.719
_cell_length_c 7.719
_cell_angle_alpha 90.00
_cell_angle_beta 90.00
_cell_angle_gamma 90.00
_space_group_name_H-M_alt 'F m -3 m'
_space_group_IT_number 225
_space_group_name_Hall '-F 4 2 3'
loop_
_atom_site_label
_atom_site_type_symbol
_atom_site_fract_x
_atom_site_fract_y
_atom_site_fract_z
Cs1 Cs 0.000 0.000 0.000
# relative energy among the computed polymorphs = 4.0 kJ/mol of atoms
# calculated volume = 460 Å³ per cell
# ΔE_f = 4.0 kJ/mol of atoms

# Na3TlI6 (PBE-GGA, relaxed)
data_Na3TlI6
_cell_length_a 12.198
_cell_length_b 12.198
_cell_length_c 12.198
_cell_angle_alpha 90.00
_cell_angle_beta 90.00
_cell_angle_gamma 90.00
_space_group_name_H-M_alt 'F m -3 m'
_space_group_IT_number 225
_space_group_name_Hall '-F 4 2 3'
loop_
_atom_site_label
_atom_site_type_symbol
_atom_site_fract_x
_atom_site_fract_y
_atom_site_fract_z
Na1 Na 0.000 0.000 0.000
Na2 Na 0.250 0.250 0.250
Tl1 Tl 0.000 0.000 0.500
I1 I 0.000 0.000 0.254
# calculated volume = 1815 Å³ per cell
# ΔE_f = -85.0 kJ/mol of atoms
# MP2020-corrected energy = -2.428 eV per atom
# total magnetization = 0.0009 μB/atom

# RbBaSiHO4 (PBE-GGA, relaxed)
data_RbBaSiHO4
_cell_length_a 5.980
_cell_length_b 8.248
_cell_length_c 6.053
_cell_angle_alpha 90.00
_cell_angle_beta 118.09
_cell_angle_gamma 90.00
_space_group_name_H-M_alt 'P 1 21 1'
_space_group_IT_number 4
_space_group_name_Hall 'P 2yb'
loop_
_atom_site_label
_atom_site_type_symbol
_atom_site_fract_x
_atom_site_fract_y
_atom_site_fract_z
Rb1 Rb 0.135 0.000 0.290
Ba1 Ba 0.484 0.252 0.990
Si1 Si 0.195 0.515 0.380
H1 H 0.014 0.281 0.459
O1 O 0.007 0.167 0.692
O2 O 0.008 0.342 0.310
O3 O 0.342 0.508 0.211
O4 O 0.385 0.508 0.683
# calculated volume = 263 Å³ per cell
# ΔE_f = -259.9 kJ/mol of atoms
# MP2020-corrected energy = -6.633 eV per atom
# total magnetization = 0.0000 μB/atom

# LiGd2Ru (PBE-GGA, relaxed)
data_LiGd2Ru
_cell_length_a 7.007
_cell_length_b 7.007
_cell_length_c 7.007
_cell_angle_alpha 90.00
_cell_angle_beta 90.00
_cell_angle_gamma 90.00
_space_group_name_H-M_alt 'F m -3 m'
_space_group_IT_number 225
_space_group_name_Hall '-F 4 2 3'
loop_
_atom_site_label
_atom_site_type_symbol
_atom_site_fract_x
_atom_site_fract_y
_atom_site_fract_z
Li1 Li 0.000 0.000 0.000
Gd1 Gd 0.250 0.250 0.250
Ru1 Ru 0.000 0.000 0.500
# calculated volume = 344 Å³ per cell
# ΔE_f = -23.0 kJ/mol of atoms

# YSF (PBE-GGA, relaxed)
data_YSF
_cell_length_a 3.796
_cell_length_b 3.796
_cell_length_c 6.885
_cell_angle_alpha 90.00
_cell_angle_beta 90.00
_cell_angle_gamma 90.00
_space_group_name_H-M_alt 'P 4/n m m'
_space_group_IT_number 129
loop_
_space_group_symop_operation_xyz
'x,y,z'
'-x,-y,-z'
'-y+1/2,x,z'
'y+1/2,-x,-z'
'-x+1/2,-y+1/2,z'
'x+1/2,y+1/2,-z'
'y,-x+1/2,z'
'-y,x+1/2,-z'
'x+1/2,-y,-z'
'-x+1/2,y,z'
'-y,-x,-z'
'y,x,z'
'-x,y+1/2,-z'
'x,-y+1/2,z'
'y+1/2,x+1/2,-z'
'-y+1/2,-x+1/2,z'
loop_
_atom_site_label
_atom_site_type_symbol
_atom_site_fract_x
_atom_site_fract_y
_atom_site_fract_z
Y1 Y 0.250 0.250 0.229
S1 S 0.250 0.250 0.643
F1 F 0.250 0.750 0.000
# calculated volume = 99 Å³ per cell
# ΔE_f = -318.0 kJ/mol of atoms
# MP2020-corrected energy = -7.468 eV per atom

# Na7Ti11O24 (PBE-GGA, relaxed)
data_Na7Ti11O24
_cell_length_a 10.604
_cell_length_b 18.410
_cell_length_c 6.232
_cell_angle_alpha 90.00
_cell_angle_beta 123.72
_cell_angle_gamma 90.00
_space_group_name_H-M_alt 'C 1 2/m 1'
_space_group_IT_number 12
_space_group_name_Hall '-C 2y'
loop_
_atom_site_label
_atom_site_type_symbol
_atom_site_fract_x
_atom_site_fract_y
_atom_site_fract_z
Na1 Na 0.000 0.000 0.000
Na2 Na 0.116 0.500 0.853
Na3 Na 0.127 0.162 0.891
Ti1 Ti 0.000 0.000 0.500
Ti2 Ti 0.000 0.329 0.000
Ti3 Ti 0.000 0.330 0.500
Ti4 Ti 0.248 0.417 0.480
Ti5 Ti 0.250 0.250 0.500
O1 O 0.010 0.398 0.251
O2 O 0.021 0.258 0.277
O3 O 0.040 0.075 0.320
O4 O 0.222 0.500 0.639
O5 O 0.226 0.329 0.254
O6 O 0.228 0.337 0.680
O7 O 0.230 0.000 0.724
# calculated volume = 1012 Å³ per cell
# ΔE_f = -299.4 kJ/mol of atoms
# MP2020-corrected energy = -8.218 eV per atom
# total magnetization = 0.0116 μB/atom

# Ba3TiO5 (PBE-GGA, relaxed)
data_Ba3TiO5
_cell_length_a 7.417
_cell_length_b 7.417
_cell_length_c 12.005
_cell_angle_alpha 90.00
_cell_angle_beta 90.00
_cell_angle_gamma 90.00
_space_group_name_H-M_alt 'I 4/m c m'
_space_group_IT_number 140
_space_group_name_Hall '-I 4 2c'
loop_
_atom_site_label
_atom_site_type_symbol
_atom_site_fract_x
_atom_site_fract_y
_atom_site_fract_z
Ba1 Ba 0.000 0.000 0.250
Ba2 Ba 0.181 0.319 0.000
Ti1 Ti 0.000 0.500 0.250
O1 O 0.000 0.000 0.000
O2 O 0.138 0.362 0.343
# calculated volume = 661 Å³ per cell
# ΔE_f = -314.8 kJ/mol of atoms
# MP2020-corrected energy = -7.529 eV per atom